1.
Material: RbTmS2O9
Method: DFT, PBE-GGA
State: relaxed

DFT formation energy: -28.84 eV per formula unit
calculated volume: 790 Å³ per cell
magnetic moment: 2.00 μB per formula unit

Cell: 10.0995 8.5148 10.3310 Å, 90.00 117.29 90.00°
With the nearest neighbours (Å) after each atom.
Space group P2_1/c (No. 14)
Asymmetric unit:
Rb 0.2196 0.1608 0.1773  9 O 2.95-3.23
Tm 0.2481 0.6269 0.0299  8 O 2.28-2.45
S 0.0625 0.6315 0.1853  4 O 1.48-1.51
S 0.4864 0.6965 0.8879  4 O 1.48-1.51
O 0.0703 0.7478 0.5824  1 S 1.51
O 0.0886 0.7039 0.3252  1 S 1.48
O 0.0897 0.0600 0.3804  1 S 1.50
O 0.1753 0.5112 0.1996  1 S 1.49
O 0.3396 0.6239 0.5614  1 Tm 2.28, 2 O 2.30-2.43
O 0.3569 0.6046 0.8784  1 S 1.49
O 0.3959 0.0915 0.6102  1 S 1.48
O 0.4363 0.7032 0.2536  1 S 1.51
O 0.4521 0.2031 0.9807  1 S 1.48

2.
Material: Rb2ZnS2O14
Method: DFT, PBE-GGA
State: relaxed

DFT formation energy: -18.30 eV per formula unit
calculated volume: 704 Å³ per cell
magnetic moment: 6.00 μB per formula unit

Cell: 5.9947 13.5722 8.8137 Å, 90.00 101.11 90.00°
With the nearest neighbours (Å) after each atom.
Space group P2_1/c (No. 14)
Asymmetric unit:
Rb 0.1651 0.1525 0.3738  6 O 2.94-3.10
Zn 0.5000 0.0000 0.0000  4 O 1.91-2.10
S 0.2480 0.6392 0.8937  4 O 1.48-1.50
O 0.0651 0.5342 0.4930  1 O 1.23
O 0.0862 0.7222 0.8862  1 S 1.48
O 0.1467 0.5572 0.7884  1 S 1.50
O 0.2867 0.5940 0.0520  1 S 1.50
O 0.3446 0.1335 0.9172  1 O 1.35
O 0.4132 0.1239 0.0721  1 O 1.35
O 0.4654 0.6703 0.8539  1 S 1.48